The following is a DFT calculation (GGA+U) of a relaxed Mn3Mo2H34C22N16O5 crystal.

Properties
density = 1.57 g/cm³
energy = -2095.51 eV per cell
E (MP2020) = -6.570 eV per atom
magnetization = 0.207 μB/atom

Cell lengths 26.285, 12.624, 13.670 Å; angles 90.00, 116.31, 90.00 degrees
Space group C2/c (No. 15)
Symmetry-distinct sites (fractional):
Mn 0.000 0.067 0.250 (multiplicity 4)
Mn 0.212 0.484 0.460 (multiplicity 8)
Mo 0.143 0.196 0.674 (multiplicity 8)
H 0.010 0.498 0.377 (multiplicity 8)
H 0.032 0.288 0.268 (multiplicity 8)
H 0.041 0.219 0.972 (multiplicity 8)
H 0.041 0.413 0.467 (multiplicity 8)
H 0.052 0.238 0.109 (multiplicity 8)
H 0.061 0.109 0.064 (multiplicity 8)
H 0.094 0.444 0.358 (multiplicity 8)
H 0.106 0.483 0.778 (multiplicity 8)
H 0.110 0.368 0.007 (multiplicity 8)
H 0.115 0.187 0.925 (multiplicity 8)
H 0.126 0.373 0.149 (multiplicity 8)
H 0.144 0.079 0.017 (multiplicity 8)
H 0.153 0.214 0.260 (multiplicity 8)
H 0.156 0.089 0.201 (multiplicity 8)
H 0.181 0.352 0.110 (multiplicity 8)
H 0.187 0.190 0.024 (multiplicity 8)
H 0.209 0.188 0.223 (multiplicity 8)
C 0.066 0.194 0.056 (multiplicity 8)
C 0.074 0.313 0.648 (multiplicity 8)
C 0.086 0.093 0.706 (multiplicity 8)
C 0.088 0.136 0.508 (multiplicity 8)
C 0.137 0.336 0.088 (multiplicity 8)
C 0.145 0.165 0.008 (multiplicity 8)
C 0.164 0.174 0.201 (multiplicity 8)
C 0.167 0.324 0.593 (multiplicity 8)
C 0.182 0.302 0.811 (multiplicity 8)
C 0.194 0.099 0.810 (multiplicity 8)
C 0.208 0.130 0.636 (multiplicity 8)
N 0.041 0.382 0.635 (multiplicity 8)
N 0.055 0.032 0.717 (multiplicity 8)
N 0.059 0.102 0.421 (multiplicity 8)
N 0.128 0.218 0.089 (multiplicity 8)
N 0.180 0.389 0.548 (multiplicity 8)
N 0.199 0.365 0.882 (multiplicity 8)
N 0.223 0.048 0.887 (multiplicity 8)
N 0.241 0.096 0.609 (multiplicity 8)
O 0.000 0.241 0.250 (multiplicity 4)
O 0.035 0.436 0.394 (multiplicity 8)
O 0.121 0.455 0.325 (multiplicity 8)

The following is a DFT calculation (GGA+U) of a relaxed MnH9C4NO6 crystal.

Properties
offset from the most stable computed form = 5 meV/atom
density = 1.72 g/cm³
energy = -518.23 eV per cell
E (MP2020) = -6.445 eV per atom
magnetization = 0.238 μB/atom

Cell lengths 8.333, 8.584, 11.979 Å; angles 90.05, 90.05, 90.08 degrees
Space group P-1 (No. 2)
Symmetry-distinct sites (fractional):
Mn 0.000 0.000 0.000 (multiplicity 1)
Mn 0.000 0.000 0.500 (multiplicity 1)
Mn 0.500 0.500 0.000 (multiplicity 1)
Mn 0.500 0.500 0.500 (multiplicity 1)
H 0.013 0.355 0.320 (multiplicity 2)
H 0.014 0.354 0.179 (multiplicity 2)
H 0.023 0.361 0.825 (multiplicity 2)
H 0.023 0.362 0.675 (multiplicity 2)
H 0.077 0.000 0.249 (multiplicity 2)
H 0.154 0.588 0.751 (multiplicity 2)
H 0.155 0.585 0.250 (multiplicity 2)
H 0.218 0.721 0.962 (multiplicity 2)
H 0.222 0.720 0.535 (multiplicity 2)
H 0.278 0.220 0.535 (multiplicity 2)
H 0.279 0.215 0.963 (multiplicity 2)
H 0.345 0.085 0.250 (multiplicity 2)
H 0.345 0.087 0.749 (multiplicity 2)
H 0.428 0.499 0.251 (multiplicity 2)
H 0.477 0.861 0.675 (multiplicity 2)
H 0.477 0.861 0.825 (multiplicity 2)
H 0.486 0.855 0.179 (multiplicity 2)
H 0.487 0.855 0.320 (multiplicity 2)
C 0.024 0.581 0.250 (multiplicity 2)
C 0.055 0.019 0.755 (multiplicity 2)
C 0.214 0.277 0.031 (multiplicity 2)
C 0.215 0.284 0.468 (multiplicity 2)
C 0.278 0.788 0.030 (multiplicity 2)
C 0.284 0.785 0.468 (multiplicity 2)
C 0.441 0.520 0.750 (multiplicity 2)
C 0.476 0.081 0.250 (multiplicity 2)
N 0.029 0.585 0.750 (multiplicity 2)
N 0.470 0.085 0.750 (multiplicity 2)
O 0.080 0.220 0.063 (multiplicity 2)
O 0.080 0.231 0.435 (multiplicity 2)
O 0.123 0.028 0.849 (multiplicity 2)
O 0.131 0.032 0.663 (multiplicity 2)
O 0.212 0.909 0.067 (multiplicity 2)
O 0.219 0.905 0.428 (multiplicity 2)
O 0.275 0.399 0.072 (multiplicity 2)
O 0.281 0.404 0.427 (multiplicity 2)
O 0.368 0.532 0.658 (multiplicity 2)
O 0.370 0.532 0.844 (multiplicity 2)
O 0.412 0.736 0.066 (multiplicity 2)
O 0.419 0.732 0.435 (multiplicity 2)

The following is a DFT calculation (GGA+U) of a relaxed MnHC4N3O5 crystal.

Properties
density = 2.32 g/cm³
energy = -1663.29 eV per cell
E (MP2020) = -7.790 eV per atom
magnetization = 0.000 μB/atom

Cell lengths 12.083, 12.083, 17.699 Å; angles 90.00, 90.00, 90.00 degrees
Space group I4_1/a (No. 88, origin choice 2)
Symmetry-distinct sites (fractional):
Mn 0.092 0.154 0.281 (multiplicity 16)
H 0.046 0.381 0.559 (multiplicity 16)
C 0.002 0.374 0.446 (multiplicity 16)
C 0.106 0.035 0.129 (multiplicity 16)
C 0.113 0.439 0.817 (multiplicity 16)
C 0.125 0.124 0.555 (multiplicity 16)
N 0.021 0.123 0.522 (multiplicity 16)
N 0.091 0.132 0.400 (multiplicity 16)
N 0.113 0.464 0.744 (multiplicity 16)
O 0.061 0.320 0.276 (multiplicity 16)
O 0.099 0.009 0.059 (multiplicity 16)
O 0.099 0.374 0.423 (multiplicity 16)
O 0.109 0.131 0.157 (multiplicity 16)
O 0.136 0.113 0.624 (multiplicity 16)

The following is a DFT calculation (GGA+U) of a relaxed MnH7C4N3O7 crystal.

Properties
density = 1.92 g/cm³
energy = -584.16 eV per cell
E (MP2020) = -6.933 eV per atom
magnetization = 0.227 μB/atom

Cell lengths 10.933, 6.960, 13.968 Å; angles 90.00, 120.82, 90.00 degrees
Space group P2_1/c (No. 14)
Symmetry-distinct sites (fractional):
Mn 0.220 0.184 0.050 (multiplicity 4)
H 0.015 0.186 0.355 (multiplicity 4)
H 0.061 0.660 0.609 (multiplicity 4)
H 0.107 0.618 0.393 (multiplicity 4)
H 0.148 0.560 0.070 (multiplicity 4)
H 0.263 0.684 0.487 (multiplicity 4)
H 0.276 0.530 0.191 (multiplicity 4)
H 0.452 0.139 0.294 (multiplicity 4)
C 0.166 0.109 0.252 (multiplicity 4)
C 0.304 0.167 0.353 (multiplicity 4)
C 0.464 0.667 0.369 (multiplicity 4)
C 0.467 0.240 0.013 (multiplicity 4)
N 0.325 0.225 0.451 (multiplicity 4)
N 0.431 0.167 0.358 (multiplicity 4)
N 0.464 0.727 0.042 (multiplicity 4)
O 0.005 0.230 0.419 (multiplicity 4)
O 0.053 0.117 0.254 (multiplicity 4)
O 0.175 0.050 0.168 (multiplicity 4)
O 0.177 0.613 0.474 (multiplicity 4)
O 0.232 0.021 0.613 (multiplicity 4)
O 0.334 0.633 0.316 (multiplicity 4)
O 0.448 0.143 0.166 (multiplicity 4)